## one
# Ni4P2O9

A relaxed Ni4P2O9 crystal (PBE+U, the Materials Project).

Properties
total magnetic moment = 8.0 μB/f.u.
crystal system = triclinic

```
Ni4P2O9
1.0
-1.4736 6.1260 -0.8721
-0.9858 -2.8544 -7.0298
-5.8794 -4.0602 3.7137
O P Ni
18 4 8
direct
0.0307 0.2806 0.5325
0.8558 0.0642 0.6846
0.6315 0.7756 0.9620
0.3658 0.7229 0.4790
0.6342 0.2771 0.5210
0.7694 0.2125 0.0419
0.3890 0.0416 0.7620
0.9906 0.4103 0.8274
0.9693 0.7194 0.4675
0.4734 0.6141 0.1673
0.0094 0.5897 0.1726
0.1442 0.9358 0.3154
0.2306 0.7875 0.9581
0.6110 0.9584 0.2380
0.3685 0.2244 0.0380
0.7772 0.7168 0.6992
0.2228 0.2832 0.3008
0.5266 0.3859 0.8327
0.8814 0.2589 0.6464
0.1186 0.7411 0.3536
0.5181 0.2201 0.9253
0.4819 0.7799 0.0747
0.1696 0.3992 0.0938
0.3972 0.1106 0.2626
0.3621 0.3295 0.5628
0.9223 0.1190 0.2670
0.0777 0.8810 0.7330
0.6379 0.6705 0.4372
0.6028 0.8894 0.7374
0.8304 0.6008 0.9062
```



## two
# Ni4P2O9

A relaxed Ni4P2O9 crystal (PBE+U, the Materials Project).

Properties
total magnetic moment = 8.0 μB/f.u.
crystal system = monoclinic

```
Ni4P2O9
1.0
-9.6730 -1.5288 5.2313
-1.4692 -4.8010 -4.1198
3.2974 -7.7250 3.8395
O Ni P
36 16 8
direct
0.5102 0.2429 0.9017
0.2823 0.8625 0.0538
0.4403 0.7450 0.7664
0.3964 0.4960 0.5855
0.1968 0.3314 0.5245
0.8032 0.6686 0.4755
0.5597 0.2550 0.2336
0.1148 0.8925 0.7976
0.8246 0.4705 0.2327
0.5946 0.8364 0.5108
0.1897 0.1650 0.2459
0.3103 0.1650 0.7459
0.6968 0.6686 0.9755
0.1754 0.5295 0.7673
0.0102 0.7571 0.5983
0.6148 0.1075 0.7024
0.9898 0.2429 0.4017
0.4054 0.1636 0.4892
0.0597 0.7450 0.2664
0.3246 0.5295 0.2673
0.6036 0.5040 0.4145
0.7177 0.1375 0.9462
0.9403 0.2550 0.7336
0.9054 0.8364 0.0108
0.3032 0.3314 0.0245
0.8964 0.5040 0.9145
0.6897 0.8350 0.2541
0.7823 0.1375 0.4462
0.1036 0.4960 0.0855
0.4898 0.7571 0.0983
0.2177 0.8625 0.5538
0.8103 0.8350 0.7541
0.8852 0.1075 0.2024
0.3852 0.8925 0.2976
0.0946 0.1636 0.9892
0.6754 0.4705 0.7327
0.1210 0.2300 0.7484
0.8991 0.1792 0.9614
0.8790 0.7700 0.2516
0.1009 0.8208 0.0386
0.3790 0.2300 0.2484
0.4052 0.9374 0.8853
0.3991 0.8208 0.5386
0.6210 0.7700 0.7516
0.1326 0.4543 0.3177
0.6009 0.1792 0.4614
0.6326 0.5457 0.1823
0.3674 0.4543 0.8177
0.0948 0.9374 0.3853
0.8674 0.5457 0.6823
0.5948 0.0626 0.1147
0.9052 0.0626 0.6147
0.6707 0.7055 0.4238
0.8683 0.2449 0.3138
0.1317 0.7551 0.6862
0.1707 0.2945 0.0762
0.8293 0.7055 0.9238
0.3293 0.2945 0.5762
0.6317 0.2449 0.8138
0.3683 0.7551 0.1862
```



Bottom line: two, by a margin of 0.029 eV/atom.



## one
# Ni3P2O8

A relaxed Ni3P2O8 crystal (PBE+U, the Materials Project).

Properties
total magnetic moment = 6.0 μB/f.u.
crystal system = monoclinic

```
Ni3P2O8
1.0
9.9420 0.0000 0.0000
0.0000 8.6790 0.0000
0.0000 3.0053 20.0775
O Ni P
96 36 24
direct
0.9338 0.1094 0.2347
0.7405 0.5766 0.8579
0.1337 0.9388 0.3417
0.1060 0.5830 0.0135
0.2860 0.6616 0.7057
0.7595 0.0766 0.3579
0.8759 0.7702 0.3271
0.1241 0.2298 0.6729
0.2587 0.5674 0.3029
0.8342 0.2839 0.8916
0.5057 0.1568 0.0171
0.7620 0.2397 0.4816
0.3400 0.1139 0.9273
0.4653 0.7001 0.8603
0.2140 0.1616 0.2057
0.5420 0.4423 0.9308
0.4630 0.0025 0.1731
0.6060 0.9170 0.4865
0.5772 0.1222 0.5952
0.0057 0.3432 0.4829
0.0637 0.4005 0.2146
0.8663 0.0612 0.6583
0.1600 0.6139 0.4273
0.0662 0.8906 0.7653
0.4843 0.5328 0.3597
0.9424 0.7283 0.8904
0.2405 0.9234 0.6421
0.7413 0.4326 0.6971
0.2008 0.8215 0.8770
0.2620 0.2603 0.0184
0.9630 0.4975 0.3269
0.5556 0.7677 0.2545
0.5576 0.2283 0.3904
0.6337 0.5612 0.1583
0.6790 0.1188 0.7339
0.6241 0.2702 0.8271
0.1874 0.0538 0.4437
0.0347 0.2001 0.3603
0.2380 0.7603 0.5184
0.7956 0.5159 0.4517
0.8940 0.4170 0.9865
0.3663 0.4388 0.8417
0.0772 0.3778 0.9048
0.8126 0.9462 0.5563
0.4338 0.3906 0.2653
0.7140 0.3384 0.2943
0.4943 0.8432 0.9829
0.6874 0.4462 0.0563
0.5637 0.0995 0.2854
0.2595 0.4234 0.1421
0.5255 0.6426 0.4811
0.6658 0.7839 0.3916
0.3940 0.0830 0.5135
0.0556 0.7323 0.2455
0.2956 0.9841 0.0483
0.2992 0.3215 0.3770
0.0576 0.2717 0.1096
0.5370 0.9975 0.8269
0.9745 0.1426 0.9811
0.1658 0.7161 0.1084
0.5662 0.6094 0.7347
0.9943 0.6568 0.5171
0.4228 0.8778 0.4048
0.2413 0.0674 0.8029
0.3342 0.2161 0.6084
0.5347 0.2999 0.1397
0.4444 0.2323 0.7455
0.4745 0.3574 0.5189
0.8210 0.6188 0.2339
0.5157 0.4672 0.6403
0.2044 0.4841 0.5483
0.0370 0.5025 0.6731
0.7380 0.7397 0.9816
0.9843 0.9672 0.1403
0.9653 0.7999 0.6397
0.3210 0.8812 0.2661
0.3126 0.5538 0.9437
0.9580 0.9423 0.4308
0.7992 0.1785 0.1230
0.4580 0.5577 0.0692
0.0420 0.0577 0.5692
0.9444 0.2677 0.7545
0.1790 0.3812 0.7661
0.4424 0.7717 0.6096
0.7860 0.8384 0.7943
0.9228 0.6222 0.0952
0.6600 0.8861 0.0727
0.0255 0.8574 0.0189
0.7587 0.9326 0.1971
0.9363 0.5995 0.7854
0.0157 0.0328 0.8597
0.3759 0.7298 0.1729
0.7008 0.6785 0.6230
0.7044 0.0159 0.9517
0.4363 0.9005 0.7146
0.8400 0.3861 0.5727
0.3704 0.7733 0.0735
0.3828 0.4623 0.7422
0.2250 0.2627 0.8570
0.6981 0.8962 0.2980
0.6172 0.5377 0.2578
0.6296 0.2267 0.9265
0.9151 0.9322 0.9397
0.8704 0.7267 0.4265
0.5849 0.4322 0.4397
0.8791 0.3888 0.0853
0.3791 0.1112 0.4147
0.7250 0.2373 0.6430
0.0730 0.6970 0.7182
0.6209 0.8888 0.5853
0.8019 0.3962 0.7980
0.0849 0.0678 0.0603
0.2837 0.4689 0.0412
0.2750 0.7627 0.3570
0.4151 0.5678 0.5603
0.1296 0.2733 0.5735
0.8828 0.0377 0.7578
0.1172 0.9623 0.2422
0.7750 0.7373 0.1430
0.8973 0.5939 0.6068
0.1027 0.4061 0.3932
0.7163 0.5311 0.9588
0.9270 0.3030 0.2818
0.2163 0.9689 0.5412
0.4270 0.1970 0.2182
0.3973 0.9061 0.8932
0.6027 0.0939 0.1068
0.1981 0.6038 0.2020
0.3019 0.1038 0.7020
0.7837 0.0311 0.4588
0.1209 0.6112 0.9147
0.5730 0.8030 0.7818
0.9314 0.6549 0.2830
0.0686 0.3451 0.7170
0.8543 0.3704 0.4967
0.6291 0.5520 0.6730
0.4314 0.8451 0.2170
0.8542 0.6903 0.8321
0.3542 0.8097 0.6679
0.4490 0.1957 0.5593
0.1291 0.9480 0.8270
0.3709 0.4480 0.3270
0.5686 0.1549 0.7830
0.3543 0.1296 0.0033
0.5750 0.4656 0.1067
0.1457 0.6296 0.5033
0.9490 0.3043 0.9407
0.0750 0.0344 0.3933
0.1458 0.3097 0.1679
0.9250 0.9656 0.6067
0.0510 0.6957 0.0593
0.6457 0.8704 0.9967
0.5510 0.8043 0.4407
0.8709 0.0520 0.1730
0.6458 0.1903 0.3321
0.4250 0.5344 0.8933
```



## two
# Ni3P2O8

A relaxed Ni3P2O8 crystal (PBE+U, the Materials Project).

Properties
total magnetic moment = 6.0 μB/f.u.
crystal system = monoclinic

```
Ni3P2O8
1.0
11.1156 0.0000 0.0000
0.0000 6.1064 0.0000
0.0000 1.5061 8.5695
Ni P O
12 8 32
direct
0.3057 0.6169 0.6363
0.9175 0.6657 0.7254
0.8864 0.1224 0.9242
0.5825 0.1657 0.7254
0.6943 0.3831 0.3637
0.1943 0.1169 0.6363
0.1136 0.8776 0.0758
0.8057 0.8831 0.3637
0.0825 0.3343 0.2746
0.6136 0.6224 0.9242
0.3864 0.3776 0.0758
0.4175 0.8343 0.2746
0.8647 0.6108 0.0926
0.3647 0.8892 0.9074
0.1353 0.3892 0.9074
0.6353 0.1108 0.0926
0.5863 0.6939 0.6039
0.9137 0.1939 0.6039
0.0863 0.8061 0.3961
0.4137 0.3061 0.3961
0.5649 0.3352 0.0730
0.5386 0.2564 0.4755
0.5838 0.4801 0.7299
0.7782 0.6294 0.2304
0.3170 0.3308 0.5189
0.0594 0.6000 0.8661
0.4406 0.1000 0.8661
0.7940 0.6035 0.9395
0.2940 0.8965 0.0605
0.2060 0.3965 0.0605
0.4162 0.5199 0.2701
0.2782 0.8706 0.7696
0.9614 0.7564 0.4755
0.4351 0.6648 0.9270
0.9351 0.8352 0.0730
0.3745 0.1336 0.2950
0.6830 0.6692 0.4811
0.1830 0.8308 0.5189
0.9162 0.9801 0.7299
0.0649 0.1648 0.9270
0.5594 0.9000 0.1339
0.0838 0.0199 0.2701
0.6255 0.8664 0.7050
0.7060 0.1035 0.9395
0.8170 0.1692 0.4811
0.9406 0.4000 0.1339
0.8745 0.3664 0.7050
0.2218 0.3706 0.7696
0.7218 0.1294 0.2304
0.0386 0.2436 0.5245
0.4614 0.7436 0.5245
0.1255 0.6336 0.2950
```



Bottom line: two, by a margin of 0.074 eV/atom.